Record 1
{
  "formula": "Mg6CrNiO8",
  "functional": "PBE with a Hubbard U",
  "state": "optimized geometry",
  "energy_ev_per_fu": -96.674,
  "mass_density_g_cm3": 4.07,
  "space_group": "No. 123",
  "lattice": [[-5.753, 5.387, -3.031], [-2.390, -0.556, 3.546], [2.063, 3.274, 1.903]],
  "species": ["Mg", "Mg", "Mg", "Mg", "Mg", "Mg", "Cr", "Ni", "O", "O", "O", "O", "O", "O", "O", "O"],
  "frac_coords": [[0.000, 0.500, 0.500], [0.500, 0.500, 0.500], [0.248, 0.000, 0.500], [0.752, 0.000, 0.500], [0.248, 0.500, 0.000], [0.752, 0.500, 0.000], [0.500, 0.000, 0.000], [0.000, 0.000, 0.000], [0.253, 0.000, 0.000], [0.747, 0.000, 0.000], [0.250, 0.500, 0.500], [0.750, 0.500, 0.500], [0.000, 0.000, 0.500], [0.500, 0.000, 0.500], [0.000, 0.500, 0.000], [0.500, 0.500, 0.000]]
}

***

Record 2
{
  "formula": "Li9Mn2Co5O16",
  "functional": "PBE with a Hubbard U",
  "state": "optimized geometry",
  "energy_ev_per_fu": -186.590,
  "de_polymorph_ev_per_atom": 0.024,
  "mass_density_g_cm3": 4.18,
  "space_group": "No. 5",
  "lattice": [[-2.866, -5.025, -0.177], [7.336, -4.145, -1.127], [1.995, 1.988, 5.879]],
  "species": ["Li", "Li", "Li", "Li", "Li", "Li", "Li", "Li", "Li", "Mn", "Mn", "Co", "Co", "Co", "Co", "Co", "O", "O", "O", "O", "O", "O", "O", "O", "O", "O", "O", "O", "O", "O", "O", "O"],
  "frac_coords": [[0.624, 0.250, 0.750], [0.376, 0.750, 0.251], [0.126, 0.250, 0.750], [0.499, 0.510, 0.998], [0.250, 0.990, 0.502], [0.997, 0.507, 0.996], [0.874, 0.750, 0.249], [0.751, 0.993, 0.504], [0.622, 0.750, 0.750], [0.000, 0.998, 0.995], [0.754, 0.502, 0.505], [0.501, 0.992, 0.992], [0.258, 0.508, 0.508], [0.377, 0.252, 0.249], [0.123, 0.750, 0.750], [0.878, 0.248, 0.251], [0.640, 0.004, 0.774], [0.394, 0.498, 0.266], [0.119, 0.007, 0.765], [0.514, 0.248, 0.024], [0.239, 0.740, 0.520], [0.004, 0.230, 0.008], [0.886, 0.494, 0.271], [0.769, 0.728, 0.515], [0.616, 0.496, 0.726], [0.365, 0.006, 0.229], [0.105, 0.493, 0.735], [0.470, 0.760, 0.980], [0.240, 0.252, 0.476], [0.005, 0.772, 0.985], [0.878, 0.002, 0.234], [0.746, 0.270, 0.492]]
}

***

Record 3
{
  "formula": "LiMnP3O9",
  "functional": "PBE with a Hubbard U",
  "state": "optimized geometry",
  "energy_ev_per_fu": -100.234,
  "de_polymorph_ev_per_atom": 0.045,
  "mass_density_g_cm3": 3.00,
  "space_group": "No. 2",
  "lattice": [[6.664, 0.000, 0.000], [0.847, 6.801, 0.000], [1.008, 0.573, 7.298]],
  "species": ["Li", "Li", "Mn", "Mn", "P", "P", "P", "P", "P", "P", "O", "O", "O", "O", "O", "O", "O", "O", "O", "O", "O", "O", "O", "O", "O", "O", "O", "O"],
  "frac_coords": [[0.460, 0.839, 0.822], [0.540, 0.161, 0.178], [0.959, 0.780, 0.870], [0.041, 0.220, 0.130], [0.792, 0.846, 0.453], [0.147, 0.701, 0.222], [0.605, 0.615, 0.210], [0.395, 0.385, 0.790], [0.853, 0.299, 0.778], [0.208, 0.154, 0.547], [0.244, 0.971, 0.671], [0.746, 0.850, 0.659], [0.141, 0.880, 0.084], [0.650, 0.766, 0.051], [0.031, 0.760, 0.419], [0.680, 0.671, 0.396], [0.365, 0.642, 0.283], [0.333, 0.600, 0.813], [0.942, 0.470, 0.835], [0.058, 0.530, 0.165], [0.667, 0.400, 0.187], [0.635, 0.358, 0.717], [0.320, 0.329, 0.604], [0.969, 0.240, 0.581], [0.350, 0.234, 0.949], [0.859, 0.120, 0.916], [0.254, 0.150, 0.341], [0.756, 0.029, 0.329]]
}

***

Record 4
{
  "formula": "Sr3Ca5Fe4Co4O20",
  "functional": "PBE with a Hubbard U",
  "state": "optimized geometry",
  "energy_ev_per_fu": -228.154,
  "mass_density_g_cm3": 4.40,
  "space_group": "No. 1",
  "lattice": [[4.770, -6.104, 7.454], [-9.940, -1.922, 4.923], [0.587, -8.467, -15.129]],
  "species": ["Sr", "Sr", "Sr", "Sr", "Sr", "Sr", "Sr", "Sr", "Sr", "Sr", "Sr", "Sr", "Ca", "Ca", "Ca", "Ca", "Ca", "Ca", "Ca", "Ca", "Ca", "Ca", "Ca", "Ca", "Ca", "Ca", "Ca", "Ca", "Ca", "Ca", "Ca", "Ca", "Fe", "Fe", "Fe", "Fe", "Fe", "Fe", "Fe", "Fe", "Fe", "Fe", "Fe", "Fe", "Fe", "Fe", "Fe", "Fe", "Co", "Co", "Co", "Co", "Co", "Co", "Co", "Co", "Co", "Co", "Co", "Co", "Co", "Co", "Co", "Co", "O", "O", "O", "O", "O", "O", "O", "O", "O", "O", "O", "O", "O", "O", "O", "O", "O", "O", "O", "O", "O", "O", "O", "O", "O", "O", "O", "O", "O", "O", "O", "O", "O", "O", "O", "O", "O", "O", "O", "O", "O", "O", "O", "O", "O", "O", "O", "O", "O", "O", "O", "O", "O", "O", "O", "O", "O", "O", "O", "O", "O", "O", "O", "O", "O", "O", "O", "O", "O", "O", "O", "O", "O", "O", "O", "O", "O", "O", "O", "O"],
  "frac_coords": [[0.309, 0.564, 0.611], [0.807, 0.061, 0.609], [0.806, 0.565, 0.611], [0.196, 0.433, 0.385], [0.201, 0.439, 0.896], [0.695, 0.931, 0.385], [0.060, 0.294, 0.610], [0.056, 0.799, 0.611], [0.557, 0.297, 0.611], [0.450, 0.205, 0.893], [0.944, 0.201, 0.386], [0.951, 0.207, 0.894], [0.304, 0.066, 0.106], [0.303, 0.070, 0.607], [0.303, 0.569, 0.107], [0.801, 0.066, 0.104], [0.803, 0.568, 0.106], [0.195, 0.929, 0.390], [0.201, 0.935, 0.899], [0.691, 0.432, 0.388], [0.699, 0.436, 0.897], [0.698, 0.935, 0.897], [0.055, 0.287, 0.106], [0.052, 0.789, 0.105], [0.551, 0.286, 0.106], [0.553, 0.788, 0.104], [0.556, 0.789, 0.609], [0.444, 0.210, 0.389], [0.444, 0.707, 0.390], [0.450, 0.716, 0.899], [0.943, 0.712, 0.389], [0.949, 0.715, 0.899], [0.106, 0.084, 0.245], [0.113, 0.088, 0.754], [0.103, 0.593, 0.247], [0.109, 0.598, 0.755], [0.600, 0.091, 0.246], [0.603, 0.089, 0.750], [0.603, 0.587, 0.246], [0.610, 0.600, 0.757], [0.355, 0.409, 0.245], [0.364, 0.414, 0.755], [0.352, 0.907, 0.248], [0.362, 0.908, 0.752], [0.851, 0.412, 0.247], [0.858, 0.416, 0.756], [0.855, 0.905, 0.242], [0.855, 0.906, 0.753], [0.009, 0.000, 0.004], [0.006, 0.998, 0.497], [0.007, 0.503, 0.004], [0.000, 0.499, 0.494], [0.509, 0.001, 0.003], [0.502, 0.998, 0.498], [0.509, 0.503, 0.004], [0.502, 0.497, 0.493], [0.260, 0.252, 0.005], [0.253, 0.245, 0.493], [0.258, 0.752, 0.004], [0.255, 0.750, 0.499], [0.759, 0.253, 0.005], [0.752, 0.249, 0.497], [0.757, 0.751, 0.001], [0.751, 0.745, 0.494], [0.126, 0.115, 0.486], [0.128, 0.118, 0.992], [0.116, 0.618, 0.489], [0.125, 0.625, 0.993], [0.615, 0.114, 0.487], [0.628, 0.119, 0.992], [0.617, 0.615, 0.479], [0.624, 0.620, 0.988], [0.141, 0.382, 0.021], [0.138, 0.369, 0.506], [0.138, 0.878, 0.015], [0.131, 0.884, 0.505], [0.644, 0.377, 0.016], [0.626, 0.383, 0.504], [0.638, 0.880, 0.015], [0.634, 0.865, 0.506], [0.367, 0.121, 0.485], [0.374, 0.116, 0.991], [0.381, 0.616, 0.489], [0.378, 0.624, 0.993], [0.880, 0.112, 0.491], [0.871, 0.123, 0.993], [0.865, 0.623, 0.485], [0.872, 0.618, 0.986], [0.392, 0.387, 0.019], [0.384, 0.379, 0.507], [0.388, 0.885, 0.015], [0.388, 0.888, 0.509], [0.886, 0.387, 0.016], [0.885, 0.387, 0.504], [0.889, 0.887, 0.016], [0.884, 0.877, 0.506], [0.095, 0.104, 0.141], [0.094, 0.092, 0.643], [0.086, 0.608, 0.141], [0.079, 0.597, 0.642], [0.587, 0.106, 0.141], [0.584, 0.094, 0.639], [0.592, 0.606, 0.142], [0.585, 0.605, 0.645], [0.440, 0.394, 0.354], [0.451, 0.404, 0.864], [0.439, 0.893, 0.357], [0.456, 0.899, 0.861], [0.941, 0.404, 0.357], [0.946, 0.402, 0.863], [0.944, 0.896, 0.353], [0.948, 0.898, 0.862], [0.344, 0.284, 0.141], [0.337, 0.291, 0.645], [0.340, 0.788, 0.141], [0.338, 0.794, 0.640], [0.842, 0.288, 0.142], [0.830, 0.302, 0.642], [0.838, 0.782, 0.136], [0.828, 0.794, 0.641], [0.195, 0.203, 0.355], [0.194, 0.209, 0.863], [0.198, 0.707, 0.357], [0.204, 0.716, 0.864], [0.688, 0.208, 0.357], [0.690, 0.212, 0.858], [0.699, 0.703, 0.355], [0.703, 0.720, 0.865], [0.421, 0.066, 0.249], [0.421, 0.065, 0.744], [0.422, 0.570, 0.248], [0.433, 0.575, 0.760], [0.923, 0.060, 0.239], [0.932, 0.059, 0.751], [0.922, 0.571, 0.248], [0.933, 0.575, 0.761], [0.172, 0.431, 0.240], [0.183, 0.441, 0.753], [0.171, 0.924, 0.248], [0.186, 0.932, 0.761], [0.669, 0.426, 0.246], [0.679, 0.442, 0.760], [0.674, 0.932, 0.240], [0.673, 0.930, 0.753]]
}

***

Record 5
{
  "formula": "CdFe2Sb2P6O24",
  "functional": "PBE with a Hubbard U",
  "state": "optimized geometry",
  "energy_ev_per_fu": -238.739,
  "mass_density_g_cm3": 3.70,
  "space_group": "No. 148",
  "lattice": [[-8.047, 3.721, 0.705], [-5.266, 1.434, -7.021], [-7.529, -4.531, -1.368]],
  "species": ["Cd", "Fe", "Fe", "Sb", "Sb", "P", "P", "P", "P", "P", "P", "O", "O", "O", "O", "O", "O", "O", "O", "O", "O", "O", "O", "O", "O", "O", "O", "O", "O", "O", "O", "O", "O", "O", "O"],
  "frac_coords": [[0.000, 0.000, 0.000], [0.147, 0.147, 0.147], [0.853, 0.853, 0.853], [0.646, 0.646, 0.646], [0.354, 0.354, 0.354], [0.963, 0.247, 0.541], [0.541, 0.963, 0.247], [0.247, 0.541, 0.963], [0.753, 0.459, 0.037], [0.459, 0.037, 0.753], [0.037, 0.753, 0.459], [0.523, 0.154, 0.237], [0.478, 0.191, 0.548], [0.191, 0.548, 0.478], [0.548, 0.478, 0.191], [0.201, 0.385, 0.991], [0.237, 0.523, 0.154], [0.991, 0.201, 0.385], [0.154, 0.237, 0.523], [0.097, 0.897, 0.256], [0.897, 0.256, 0.097], [0.256, 0.097, 0.897], [0.615, 0.009, 0.799], [0.385, 0.991, 0.201], [0.744, 0.903, 0.103], [0.103, 0.744, 0.903], [0.903, 0.103, 0.744], [0.846, 0.763, 0.477], [0.009, 0.799, 0.615], [0.763, 0.477, 0.846], [0.799, 0.615, 0.009], [0.452, 0.522, 0.809], [0.809, 0.452, 0.522], [0.522, 0.809, 0.452], [0.477, 0.846, 0.763]]
}

***

Record 6
{
  "formula": "Sr4LiMn2Ga2O10",
  "functional": "PBE with a Hubbard U",
  "state": "optimized geometry",
  "energy_ev_per_fu": -121.995,
  "de_polymorph_ev_per_atom": 0.000,
  "mass_density_g_cm3": 4.79,
  "space_group": "No. 12",
  "lattice": [[0.000, -0.043, 5.717], [0.000, 5.730, -0.046], [-8.109, 2.843, 2.835]],
  "species": ["Sr", "Sr", "Sr", "Sr", "Li", "Mn", "Mn", "Ga", "Ga", "O", "O", "O", "O", "O", "O", "O", "O", "O", "O"],
  "frac_coords": [[0.089, 0.620, 0.791], [0.911, 0.380, 0.209], [0.620, 0.088, 0.791], [0.380, 0.912, 0.209], [0.000, 0.000, 0.500], [0.500, 0.500, 0.000], [0.000, 0.000, 0.000], [0.674, 0.675, 0.500], [0.326, 0.325, 0.500], [0.262, 0.262, 0.975], [0.249, 0.750, 0.001], [0.751, 0.250, 0.999], [0.738, 0.738, 0.025], [0.711, 0.715, 0.686], [0.289, 0.285, 0.314], [0.102, 0.099, 0.686], [0.898, 0.901, 0.314], [0.334, 0.663, 0.500], [0.666, 0.337, 0.500]]
}

***

Record 7
{
  "formula": "MgCo3BiO8",
  "functional": "PBE with a Hubbard U",
  "state": "optimized geometry",
  "energy_ev_per_fu": -75.429,
  "de_polymorph_ev_per_atom": 0.000,
  "mass_density_g_cm3": 5.48,
  "space_group": "No. 2",
  "lattice": [[-2.884, 1.647, 4.723], [0.010, 3.368, -4.743], [-3.617, -2.082, -5.015]],
  "species": ["Mg", "Co", "Co", "Co", "Bi", "O", "O", "O", "O", "O", "O", "O", "O"],
  "frac_coords": [[0.000, 0.000, 0.000], [0.500, 0.500, 0.000], [0.500, 0.000, 0.000], [0.000, 0.500, 0.000], [0.500, 0.500, 0.500], [0.767, 0.708, 0.817], [0.761, 0.236, 0.818], [0.272, 0.721, 0.831], [0.295, 0.232, 0.820], [0.705, 0.768, 0.180], [0.728, 0.279, 0.169], [0.239, 0.764, 0.182], [0.233, 0.292, 0.183]]
}

***

Record 8
{
  "formula": "Ta9VO25",
  "functional": "PBE with a Hubbard U",
  "state": "optimized geometry",
  "energy_ev_per_fu": -334.798,
  "mass_density_g_cm3": 7.06,
  "space_group": "No. 82",
  "lattice": [[-2.677, 1.992, 1.944], [-9.395, -5.466, -3.500], [-0.391, -6.161, 9.606]],
  "species": ["Ta", "Ta", "Ta", "Ta", "Ta", "Ta", "Ta", "Ta", "Ta", "V", "O", "O", "O", "O", "O", "O", "O", "O", "O", "O", "O", "O", "O", "O", "O", "O", "O", "O", "O", "O", "O", "O", "O", "O", "O"],
  "frac_coords": [[0.782, 0.118, 0.323], [0.878, 0.796, 0.442], [0.116, 0.204, 0.558], [0.681, 0.442, 0.204], [0.326, 0.558, 0.796], [0.896, 0.323, 0.882], [0.101, 0.677, 0.118], [0.222, 0.882, 0.677], [0.000, 0.000, 0.000], [0.250, 0.500, 0.500], [0.939, 0.630, 0.513], [0.548, 0.513, 0.370], [0.431, 0.487, 0.630], [0.082, 0.370, 0.487], [0.500, 0.000, 0.000], [0.250, 0.140, 0.365], [0.385, 0.365, 0.860], [0.610, 0.635, 0.140], [0.755, 0.860, 0.635], [0.831, 0.961, 0.392], [0.983, 0.735, 0.290], [0.728, 0.290, 0.265], [0.283, 0.710, 0.735], [0.007, 0.265, 0.710], [0.948, 0.167, 0.937], [0.116, 0.937, 0.833], [0.885, 0.063, 0.167], [0.777, 0.392, 0.039], [0.354, 0.807, 0.489], [0.157, 0.489, 0.193], [0.838, 0.511, 0.807], [0.651, 0.193, 0.511], [0.183, 0.039, 0.608], [0.209, 0.608, 0.961], [0.052, 0.833, 0.063]]
}

***

Record 9
{
  "formula": "V8Cd3CuO24",
  "functional": "PBE with a Hubbard U",
  "state": "optimized geometry",
  "energy_ev_per_fu": -244.027,
  "mass_density_g_cm3": 4.48,
  "space_group": "No. 10",
  "lattice": [[3.610, 0.000, 0.000], [0.000, 6.926, 0.000], [0.000, 0.102, 17.657]],
  "species": ["V", "V", "V", "V", "V", "V", "V", "V", "Cd", "Cd", "Cd", "Cu", "O", "O", "O", "O", "O", "O", "O", "O", "O", "O", "O", "O", "O", "O", "O", "O", "O", "O", "O", "O", "O", "O", "O", "O"],
  "frac_coords": [[0.000, 0.554, 0.908], [0.500, 0.296, 0.657], [0.000, 0.044, 0.407], [0.500, 0.797, 0.152], [0.500, 0.203, 0.848], [0.000, 0.956, 0.593], [0.500, 0.704, 0.343], [0.000, 0.446, 0.092], [0.500, 0.752, 0.749], [0.000, 0.500, 0.500], [0.500, 0.248, 0.251], [0.000, 0.000, 0.000], [0.000, 0.285, 0.850], [0.500, 0.033, 0.598], [0.000, 0.783, 0.348], [0.500, 0.529, 0.095], [0.500, 0.471, 0.905], [0.000, 0.217, 0.652], [0.500, 0.967, 0.402], [0.000, 0.715, 0.150], [0.000, 0.709, 0.984], [0.500, 0.435, 0.736], [0.000, 0.183, 0.487], [0.500, 0.934, 0.233], [0.500, 0.066, 0.767], [0.000, 0.817, 0.513], [0.500, 0.565, 0.264], [0.000, 0.291, 0.016], [0.000, 0.707, 0.833], [0.500, 0.456, 0.583], [0.000, 0.206, 0.333], [0.500, 0.956, 0.078], [0.500, 0.044, 0.922], [0.000, 0.794, 0.667], [0.500, 0.544, 0.417], [0.000, 0.293, 0.167]]
}

***

Record 10
{
  "formula": "Li2Ti3CoO8",
  "functional": "PBE with a Hubbard U",
  "state": "optimized geometry",
  "energy_ev_per_fu": -108.092,
  "de_polymorph_ev_per_atom": 0.054,
  "mass_density_g_cm3": 3.89,
  "space_group": "No. 166",
  "lattice": [[5.074, -2.982, 0.000], [5.074, 2.982, 0.000], [3.322, 0.000, 4.858]],
  "species": ["Li", "Li", "Ti", "Ti", "Ti", "Co", "O", "O", "O", "O", "O", "O", "O", "O"],
  "frac_coords": [[0.122, 0.122, 0.122], [0.878, 0.878, 0.878], [0.500, 0.000, 0.500], [0.000, 0.500, 0.500], [0.500, 0.500, 0.000], [0.500, 0.500, 0.500], [0.260, 0.260, 0.260], [0.257, 0.257, 0.712], [0.712, 0.257, 0.257], [0.257, 0.712, 0.257], [0.743, 0.288, 0.743], [0.288, 0.743, 0.743], [0.743, 0.743, 0.288], [0.740, 0.740, 0.740]]
}